[1]
First-principles (PBE) data for crystalline ScRh2Pb at its relaxed geometry, as listed in the Materials Project.

Computed properties:
Its total energy is -6.78 eV per atom.

Cell lengths 4.639, 4.639, 4.639 Å; angles 60.00, 60.00, 60.00 degrees
Positions (direct):
Sc  0.000  0.000  0.000
Rh  0.250  0.250  0.250
Rh  0.750  0.750  0.750
Pb  0.500  0.500  0.500

***

[2]
First-principles (PBE) data for crystalline CsLiMg6 at its relaxed geometry, as listed in the Materials Project.

Computed properties:
Its total energy is -1.28 eV per atom.

Cell lengths 5.341, 7.260, 11.759 Å; angles 90.00, 90.00, 90.00 degrees
Positions (direct):
Cs  0.500  0.500  0.175
Cs  0.500  0.000  0.675
Li  0.000  0.500  0.350
Li  0.000  0.000  0.850
Mg  0.000  0.786  0.069
Mg  0.000  0.214  0.069
Mg  0.000  0.500  0.832
Mg  0.500  0.744  0.922
Mg  0.500  0.256  0.922
Mg  0.500  0.500  0.662
Mg  0.000  0.286  0.569
Mg  0.000  0.714  0.569
Mg  0.000  0.000  0.332
Mg  0.500  0.244  0.422
Mg  0.500  0.756  0.422
Mg  0.500  0.000  0.162

***

[3]
First-principles (PBE) data for crystalline Sr3LaBr9 at its relaxed geometry, as listed in the Materials Project.

Computed properties:
For the total energy after the MP2020 corrections, the calculation gives -56.78 eV per formula unit.

Cell lengths 7.270, 7.811, 30.661 Å; angles 88.09, 90.00, 90.00 degrees
Positions (direct):
Sr  0.970  0.672  0.933
Sr  0.003  0.704  0.692
Sr  0.030  0.672  0.433
Sr  0.997  0.704  0.192
Sr  0.988  0.317  0.569
Sr  0.985  0.283  0.809
Sr  0.012  0.317  0.069
Sr  0.015  0.283  0.309
Sr  0.521  0.215  0.692
Sr  0.515  0.177  0.932
Sr  0.479  0.215  0.192
Sr  0.485  0.177  0.432
La  0.521  0.796  0.807
La  0.545  0.820  0.567
La  0.479  0.796  0.307
La  0.455  0.820  0.067
Br  0.800  0.984  0.870
Br  0.821  0.990  0.751
Br  0.818  0.998  0.629
Br  0.200  0.984  0.370
Br  0.179  0.990  0.251
Br  0.710  0.892  0.991
Br  0.182  0.998  0.129
Br  0.326  0.850  0.895
Br  0.290  0.892  0.491
Br  0.393  0.844  0.706
Br  0.674  0.850  0.395
Br  0.607  0.844  0.206
Br  0.152  0.643  0.796
Br  0.200  0.646  0.600
Br  0.848  0.643  0.296
Br  0.800  0.646  0.100
Br  0.753  0.584  0.510
Br  0.683  0.502  0.868
Br  0.695  0.506  0.751
Br  0.702  0.517  0.629
Br  0.247  0.584  0.010
Br  0.317  0.502  0.368
Br  0.305  0.506  0.251
Br  0.298  0.517  0.129
Br  0.762  0.395  0.989
Br  0.238  0.395  0.489
Br  0.157  0.345  0.900
Br  0.119  0.329  0.699
Br  0.843  0.345  0.400
Br  0.881  0.329  0.199
Br  0.387  0.154  0.797
Br  0.350  0.133  0.599
Br  0.613  0.154  0.297
Br  0.650  0.133  0.099
Br  0.758  0.074  0.510
Br  0.242  0.074  0.010